# 1
This record from the Materials Project database describes a relaxed Li3VCr3O8 crystal. The functional is PBE with a Hubbard U.

Unit cell a=5.9180 b=10.2693 c=5.9871 alpha=73.21 beta=60.37 gamma=90.02
With the nearest neighbours (Å) after each atom.
Positions (direct):
O1 0.6089 0.3753 0.7825  1 V 1.98, 2 Cr 2.04, 2 Li 2.18
O2 0.3659 0.6155 0.7859  1 V 1.95, 2 Cr 2.04-2.05
Cr1 0.7495 0.7504 0.0000  6 O 2.03-2.05
O3 0.1086 0.8742 0.7830  1 V 1.97, 2 Cr 2.03, 2 Li 2.18
O4 0.8924 0.1260 0.2150  1 V 1.98, 2 Cr 2.03, 2 Li 2.19
O5 0.8683 0.1165 0.7847  1 V 1.95, 2 Cr 2.05, 1 Li 2.18
Li1 0.5004 0.9999 0.4996  6 O 2.18-2.20
Li2 0.4999 0.4999 0.4999  6 O 2.18-2.19
Cr2 0.4994 0.9985 0.0011  6 O 2.03-2.05
Cr3 0.2505 0.7505 0.0000  6 O 2.03-2.05
O6 0.8897 0.6293 0.2204  3 Cr 2.03, 3 Li 2.19-2.20
O7 0.3895 0.1288 0.2208  3 Cr 2.03, 3 Li 2.18-2.21
Li3 0.2502 0.2508 0.4995  6 O 2.17-2.21
O8 0.1125 0.3707 0.7752  3 Cr 2.03, 3 Li 2.18
O9 0.1531 0.3845 0.2154  1 V 1.95, 2 Cr 2.03-2.04, 2 Li 2.17-2.18
Cr4 0.9997 0.4985 0.0005  6 O 2.03-2.04
Cr5 0.7498 0.2506 0.0001  6 O 2.03-2.05
O10 0.3905 0.6259 0.2188  1 V 1.98, 2 Cr 2.04, 2 Li 2.18
Cr6 0.2501 0.2506 0.0002  6 O 2.03-2.05
O11 0.1294 0.8828 0.2186  1 V 1.96, 2 Cr 2.04-2.05, 2 Li 2.16-2.18
O12 0.6316 0.3843 0.2155  1 V 1.95, 2 Cr 2.03-2.04, 2 Li 2.17-2.18
O13 0.6125 0.8710 0.7751  3 Cr 2.03, 3 Li 2.17-2.19
Li4 0.0002 0.4999 0.4999  6 O 2.18-2.19
V1 0.0003 0.9998 0.9995  6 O 1.95-1.98
O14 0.6523 0.8830 0.2183  1 V 1.95, 2 Cr 2.04-2.05, 2 Li 2.16-2.18
O15 0.8479 0.6154 0.7861  1 V 1.94, 2 Cr 2.04-2.05
Li5 0.7498 0.7498 0.5004  6 O 2.16-2.20
O16 0.3467 0.1164 0.7849  1 V 1.95, 2 Cr 2.05, 1 Li 2.18
Li6 0.0000 0.9999 0.4996  6 O 2.17-2.20
V2 0.5001 0.5012 0.9997  6 O 1.94-1.98

Energy above the most stable polymorph in this dataset: 1 meV/atom
Formation enthalpy at 0 K: -35.9 eV/f.u.
E: -7.0727 eV per atom
Symmetry: Cm, No. 8

=====

# 2
This record from the Materials Project database describes a relaxed Li3V3CrO8 crystal. The functional is PBE with a Hubbard U.

Unit cell a=6.5057 b=6.5057 c=6.5135 alpha=74.13 beta=74.13 gamma=36.70
With the nearest neighbours (Å) after each atom.
Positions (direct):
V1 0.3937 0.3937 0.7119  2 O 1.85-2.02
O1 0.3405 0.3405 0.0078  2 V 1.85, 1 Li 2.02
Li1 0.1797 0.1797 0.9931  5 O 1.98-2.08
O2 0.2303 0.2303 0.6638  2 Li 2.05-2.20, 2 Cr 2.06, 2 V 2.13-2.25
O3 0.5642 0.5642 0.6300  1 Cr 2.02, 2 V 2.02-2.09, 2 Li 2.05
V2 0.6054 0.6054 0.2957  2 O 1.79-1.90
O4 0.4448 0.4448 0.3654  2 V 1.90-2.06, 2 Li 2.05
O5 0.7645 0.7645 0.3567  1 Cr 2.04, 3 V 2.09-2.11, 1 Li 2.14
O6 0.8797 0.8797 0.6788  2 Li 1.97-2.12, 1 Cr 2.00, 2 V 2.07
V3 0.2901 0.2901 0.3036  2 O 1.85-2.06
O7 0.1160 0.1160 0.3088  3 Li 1.98-2.13, 3 V 2.06-2.14
Cr1 0.7171 0.7171 0.6835  6 O 2.00-2.06
O8 0.6515 0.6515 0.0085  1 V 1.79
Li2 0.0566 0.0566 0.6372  5 O 2.05-2.20
Li3 0.9373 0.9373 0.3628  5 O 1.97-2.14

Energy above the most stable polymorph in this dataset: 60 meV/atom
Formation enthalpy at 0 K: -35.7 eV/f.u.
E: -7.0241 eV per atom
Symmetry: Cm, No. 8

=====

# 3
This record from the Materials Project database describes a relaxed Li2V3Cr2O12 crystal. The functional is PBE with a Hubbard U.

Unit cell a=9.0794 b=9.1526 c=12.6214 alpha=90.00 beta=90.00 gamma=90.00
With the nearest neighbours (Å) after each atom.
Positions (direct):
V1 0.2500 0.9664 0.5000  4 O 1.72-1.76
O1 0.6316 0.4264 0.9274  1 V 1.72
Li1 0.7274 0.7784 0.8113  4 O 1.97-2.05
O2 0.3415 0.8510 0.5898  1 V 1.76
O3 0.4462 0.3426 0.5178  1 V 1.71
V2 0.6047 0.6024 0.3580  4 O 1.71-1.76
O4 0.2192 0.3374 0.6721  1 V 1.73
V3 0.6047 0.1024 0.1420  4 O 1.71-1.76
O5 0.8415 0.1490 0.5898  1 V 1.76
V4 0.8953 0.6024 0.6420  4 O 1.71-1.76
O6 0.6316 0.9264 0.5726  1 V 1.72
O7 0.9462 0.1574 0.9822  1 V 1.71
O8 0.3995 0.0886 0.8405  1 V 1.76
Cr1 0.5308 0.2523 0.8792  6 O 1.94-2.00
O9 0.1585 0.3510 0.0898  1 V 1.76
O10 0.5235 0.3222 0.7308  1 V 1.76, 1 Li 1.97
Cr2 0.4692 0.7477 0.1208  6 O 1.94-2.00
O11 0.8684 0.4264 0.0726  1 V 1.72
O12 0.4462 0.8426 0.9822  1 V 1.71
O13 0.3995 0.5886 0.6595  1 V 1.76
Li2 0.2274 0.7216 0.6887  4 O 1.97-2.05
Cr3 0.4692 0.2477 0.3792  6 O 1.94-2.00
O14 0.9765 0.3222 0.2692  1 V 1.76, 1 Li 1.97
O15 0.6585 0.6490 0.0898  1 V 1.76
V5 0.7500 0.5336 0.0000  4 O 1.72-1.76
O16 0.3684 0.5736 0.0726  1 V 1.72
O17 0.2808 0.8374 0.1721  1 V 1.73
Li3 0.2274 0.2216 0.8113  4 O 1.97-2.05
O18 0.3415 0.3510 0.9102  1 V 1.76
O19 0.5235 0.8222 0.7692  1 V 1.76, 1 Li 1.97
O20 0.9765 0.8222 0.2308  1 V 1.76, 1 Li 1.97
V6 0.2500 0.4664 0.0000  4 O 1.72-1.76
V7 0.3953 0.3976 0.6420  4 O 1.71-1.76
O21 0.8415 0.6490 0.9102  1 V 1.76
O22 0.7808 0.6626 0.3279  1 V 1.73
Li4 0.7726 0.2784 0.3113  4 O 1.97-2.05
Cr4 0.0308 0.7477 0.8792  6 O 1.94-2.00
Li5 0.7726 0.7784 0.1887  4 O 1.97-2.05
V8 0.7500 0.0336 0.5000  4 O 1.72-1.76
O23 0.1005 0.0886 0.1595  1 V 1.76
O24 0.4765 0.1778 0.2308  1 V 1.76, 1 Li 1.97
O25 0.0538 0.3426 0.4822  1 V 1.71
O26 0.9462 0.6574 0.5178  1 V 1.71
Cr5 0.0308 0.2477 0.6208  6 O 1.94-2.00
O27 0.4765 0.6778 0.2692  1 V 1.76, 1 Li 1.97
Li6 0.2726 0.7216 0.3113  4 O 1.97-2.05
O28 0.8995 0.9114 0.8405  1 V 1.76
O29 0.7808 0.1626 0.1721  1 V 1.73
V9 0.8953 0.1024 0.8580  4 O 1.71-1.76
O30 0.1316 0.0736 0.5726  1 V 1.72
Cr6 0.9692 0.2523 0.1208  6 O 1.94-2.00
O31 0.5538 0.6574 0.4822  1 V 1.71
O32 0.6005 0.9114 0.1595  1 V 1.76
O33 0.0235 0.6778 0.7308  1 V 1.76, 1 Li 1.97
O34 0.1585 0.8510 0.4102  1 V 1.76
V10 0.1047 0.8976 0.1420  4 O 1.71-1.76
O35 0.0235 0.1778 0.7692  1 V 1.76, 1 Li 1.97
O36 0.3684 0.0736 0.4274  1 V 1.72
V11 0.3953 0.8976 0.8580  4 O 1.71-1.76
O37 0.1316 0.5736 0.9274  1 V 1.72
O38 0.6005 0.4114 0.3405  1 V 1.76
O39 0.8684 0.9264 0.4274  1 V 1.72
Li7 0.7274 0.2784 0.6887  4 O 1.97-2.05
O40 0.1005 0.5886 0.3405  1 V 1.76
O41 0.0538 0.8426 0.0178  1 V 1.71
O42 0.2192 0.8374 0.8279  1 V 1.73
O43 0.7192 0.1626 0.8279  1 V 1.73
O44 0.5538 0.1574 0.0178  1 V 1.71
O45 0.6585 0.1490 0.4102  1 V 1.76
Li8 0.2726 0.2216 0.1887  4 O 1.97-2.05
Cr7 0.9692 0.7523 0.3792  6 O 1.94-2.00
V12 0.1047 0.3976 0.3580  4 O 1.71-1.76
O46 0.8995 0.4114 0.6595  1 V 1.76
Cr8 0.5308 0.7523 0.6208  6 O 1.94-2.00
O47 0.2808 0.3374 0.3279  1 V 1.73
O48 0.7192 0.6626 0.6721  1 V 1.73

Formation enthalpy at 0 K: -44.2 eV/f.u.
E: -7.1910 eV per atom
Symmetry: Pbcn, No. 60

=====

# 4
This record from the Materials Project database describes a relaxed Li4V3CrO8 crystal. The functional is PBE with a Hubbard U.

Unit cell a=5.1770 b=5.9833 c=10.7826 alpha=106.02 beta=85.41 gamma=73.15
With the nearest neighbours (Å) after each atom.
Positions (direct):
O1 0.2741 0.8366 0.8096  1 Cr 2.04, 2 V 2.05-2.06, 3 Li 2.17-2.21
V1 0.4997 0.4383 0.1253  6 O 2.04-2.08
O2 0.7295 0.4150 0.6895  1 Cr 2.04, 2 V 2.06-2.08, 3 Li 2.16-2.19
V2 0.5001 0.3124 0.3750  6 O 2.04-2.08
Li1 0.0023 0.1227 0.7487  6 O 2.17-2.20
O3 0.2703 0.2102 0.0606  1 Cr 2.04, 2 V 2.06-2.07, 3 Li 2.16-2.19
Li2 0.0001 0.0004 0.0019  6 O 2.15-2.21
V3 0.5003 0.1868 0.6247  6 O 2.04-2.08
V4 0.4987 0.0628 0.8749  6 O 2.05-2.07
Li3 0.0017 0.3722 0.2489  6 O 2.14-2.21
V5 0.5013 0.5622 0.8751  6 O 2.05-2.07
V6 0.5000 0.8124 0.3750  6 O 2.04-2.08
Li4 0.9994 0.6251 0.7482  6 O 2.15-2.21
O4 0.7271 0.1618 0.1868  1 Cr 2.04, 2 V 2.04-2.08, 3 Li 2.15-2.19
Cr1 0.4991 0.9395 0.1251  6 O 2.04-2.05
O5 0.7274 0.6693 0.1907  2 V 2.04-2.08, 1 Cr 2.04, 3 Li 2.16-2.21
O6 0.7294 0.2863 0.9400  3 V 2.05-2.06, 3 Li 2.17-2.20
O7 0.7281 0.5336 0.4410  1 Cr 2.04, 2 V 2.04-2.08, 3 Li 2.14-2.21
O8 0.7280 0.0369 0.4391  3 V 2.05, 3 Li 2.19
O9 0.2719 0.0913 0.3089  1 Cr 2.04, 2 V 2.04-2.08, 3 Li 2.14-2.20
Li5 0.9997 0.8770 0.2484  6 O 2.15-2.19
O10 0.2707 0.3386 0.8101  3 V 2.05-2.06, 3 Li 2.18-2.20
Li6 0.9983 0.2528 0.5009  6 O 2.14-2.21
Cr2 0.5010 0.6855 0.6249  6 O 2.04-2.05
O11 0.2729 0.4631 0.5632  1 Cr 2.04, 2 V 2.04-2.08, 3 Li 2.15-2.19
Li7 0.0007 0.7478 0.5014  6 O 2.16-2.19
O12 0.2721 0.5880 0.3109  3 V 2.05, 3 Li 2.19
O13 0.2726 0.9557 0.5592  2 V 2.04-2.08, 1 Cr 2.04, 3 Li 2.16-2.21
O14 0.7257 0.7885 0.9404  1 Cr 2.04, 2 V 2.05-2.06, 3 Li 2.17-2.21
O15 0.2733 0.7139 0.0624  2 V 2.04-2.07, 1 Cr 2.05, 3 Li 2.15-2.19
O16 0.7267 0.9112 0.6875  2 V 2.04-2.07, 1 Cr 2.05, 3 Li 2.16-2.19
Li8 0.9978 0.5021 0.0016  6 O 2.17-2.20

Energy above the most stable polymorph in this dataset: 6 meV/atom
Formation enthalpy at 0 K: -39.4 eV/f.u.
E: -6.9319 eV per atom
Symmetry: P-1, No. 2

=====

# 5
This record from the Materials Project database describes a relaxed LiVCrO4 crystal. The functional is PBE with a Hubbard U.

Unit cell a=5.9711 b=5.9325 c=5.9288 alpha=91.21 beta=120.21 gamma=59.74
With the nearest neighbours (Å) after each atom.
Positions (direct):
O1 0.9774 0.2692 0.2694  1 V 1.92, 1 Li 2.01, 2 Cr 2.03
Cr1 0.0000 0.0000 0.5000  6 O 2.02-2.03
Cr2 0.5000 0.5000 0.0000  6 O 2.02-2.04
Li1 0.2500 0.1262 0.1265  4 O 2.00-2.02
O2 0.0226 0.7308 0.7306  1 V 1.92, 1 Li 2.01, 2 Cr 2.03
V1 0.5000 0.5000 0.5000  6 O 1.91-2.01
O3 0.9731 0.2703 0.7147  2 V 2.00-2.01, 1 Li 2.01, 1 Cr 2.02
O4 0.4726 0.2851 0.7300  1 Li 2.00, 2 V 2.01, 1 Cr 2.02
O5 0.4777 0.7303 0.7300  1 V 1.91, 1 Li 2.02, 2 Cr 2.03
O6 0.5223 0.2697 0.2700  1 V 1.91, 1 Li 2.02, 2 Cr 2.03-2.04
O7 0.0269 0.7297 0.2853  2 V 2.00-2.01, 1 Li 2.01, 1 Cr 2.02
O8 0.5274 0.7149 0.2700  1 Li 2.00, 2 V 2.01, 1 Cr 2.02
V2 0.0000 0.5000 0.5000  6 O 1.92-2.01
Li2 0.7500 0.8738 0.8735  4 O 2.00-2.02

Energy above the most stable polymorph in this dataset: 0 meV/atom
Formation enthalpy at 0 K: -17.2 eV/f.u.
E: -7.3160 eV per atom
Symmetry: C2/m, No. 12

=====

# 6
This record from the Materials Project database describes a relaxed Li4V3CrO8 crystal. The functional is PBE with a Hubbard U.

Unit cell a=5.9723 b=5.1966 c=5.2103 alpha=70.07 beta=90.00 gamma=90.00
With the nearest neighbours (Å) after each atom.
Positions (direct):
O1 0.5000 0.2780 0.7432  2 V 2.04, 1 Cr 2.04, 3 Li 2.18-2.22
O2 0.0000 0.7252 0.2583  3 V 2.04-2.06, 3 Li 2.19-2.20
Li1 0.2519 0.0000 0.0000  6 O 2.17-2.19
V1 0.2501 0.5000 0.5000  6 O 2.04-2.09
Cr1 0.5000 0.5000 0.0000  6 O 2.03-2.04
O3 0.7470 0.7294 0.7609  1 Cr 2.03, 2 V 2.06-2.09, 3 Li 2.17-2.19
Li2 0.5000 0.0000 0.5000  6 O 2.17-2.22
V2 0.7499 0.5000 0.5000  6 O 2.04-2.09
O4 0.5000 0.7220 0.2568  2 V 2.04, 1 Cr 2.04, 3 Li 2.18-2.22
V3 0.0000 0.5000 0.0000  6 O 2.06
Li3 0.0000 0.0000 0.5000  6 O 2.19-2.20
O5 0.0000 0.2748 0.7417  3 V 2.04-2.06, 3 Li 2.19-2.20
Li4 0.7481 0.0000 0.0000  6 O 2.17-2.19
O6 0.7470 0.2706 0.2391  1 Cr 2.03, 2 V 2.06-2.09, 3 Li 2.17-2.19
O7 0.2530 0.2706 0.2391  1 Cr 2.03, 2 V 2.06-2.09, 3 Li 2.17-2.19
O8 0.2530 0.7294 0.7609  1 Cr 2.03, 2 V 2.06-2.09, 3 Li 2.17-2.19

Energy above the most stable polymorph in this dataset: 23 meV/atom
Formation enthalpy at 0 K: -39.1 eV/f.u.
E: -6.9154 eV per atom
Symmetry: P2/m, No. 10